# 1
Below is crystalline MgBi4O8 at its relaxed geometry, with properties calculated at the PBE-GGA level.

Summary:
Total magnetization = 0.000 μB per formula unit
Space-group type = P1, No. 1
E_tot = -73.46 eV/cell
E_form = -1.709 eV per atom
Calculated volume = 203.6 Å³/f.u.

Cell lengths 5.8232, 6.2618, 6.7336 Å; angles 108.90, 90.14, 117.07 degrees
Fractional positions:
Mg1 0.0000 0.0000 0.0000
Bi1 0.0803 0.1402 0.5129
Bi2 0.3075 0.6110 0.1245
Bi3 0.5229 0.0571 0.7764
Bi4 0.7470 0.5008 0.3851
O1 0.0046 0.3102 0.8540
O2 0.0464 0.3353 0.2719
O3 0.0705 0.8588 0.6876
O4 0.0792 0.8205 0.1985
O5 0.4325 0.2969 0.0636
O6 0.5054 0.3026 0.5888
O7 0.5856 0.7936 0.4227
O8 0.5856 0.8393 0.9740


# 2
Below is crystalline Na4Hf3ZnP6O24 at its relaxed geometry, with properties calculated at the PBE-GGA level.

Summary:
Total magnetization = 0.000 μB per formula unit
Space-group type = P1, No. 1
E_tot = -856.38 eV/cell
E_form = -3.008 eV per atom
Calculated volume = 527.2 Å³/f.u.

Cell lengths 8.9250, 8.9334, 22.8788 Å; angles 89.99, 89.98, 60.12 degrees
Fractional positions:
Na1 0.0000 0.0000 0.0000
Na2 0.9996 0.0100 0.4938
Na3 0.0128 0.3579 0.2451
Na4 0.0310 0.6762 0.4136
Na5 0.3233 0.3427 0.8297
Na6 0.3414 0.3244 0.3306
Na7 0.3591 0.6283 0.2449
Na8 0.3639 0.0096 0.7433
Na9 0.6255 0.3621 0.7432
Na10 0.6292 0.0125 0.2452
Na11 0.6667 0.6666 0.1609
Na12 0.6770 0.6657 0.6610
Hf1 0.0003 0.0002 0.1443
Hf2 0.0002 0.9970 0.6425
Hf3 0.0012 0.9982 0.8531
Hf4 0.3342 0.3327 0.9807
Hf5 0.3383 0.3277 0.4814
Hf6 0.6654 0.6658 0.5191
Hf7 0.6647 0.6666 0.3158
Hf8 0.6667 0.6664 0.0192
Hf9 0.6723 0.6658 0.8142
Zn1 0.3250 0.3407 0.6779
Zn2 0.3339 0.3328 0.1760
Zn3 0.9991 0.0087 0.3503
P1 0.0020 0.2900 0.7486
P2 0.0017 0.7075 0.2510
P3 0.0417 0.3342 0.0839
P4 0.0428 0.6221 0.5824
P5 0.2901 0.0017 0.2500
P6 0.2898 0.7066 0.7491
P7 0.3338 0.6243 0.0839
P8 0.3354 0.0410 0.5849
P9 0.3704 0.6685 0.4160
P10 0.3761 0.9588 0.9153
P11 0.6244 0.0414 0.0839
P12 0.6243 0.3342 0.5849
P13 0.6660 0.3751 0.9152
P14 0.6674 0.9607 0.4155
P15 0.7085 0.2894 0.2501
P16 0.7097 0.9996 0.7487
P17 0.9601 0.3696 0.4160
P18 0.9602 0.6654 0.9166
O1 0.0230 0.1696 0.0879
O2 0.0242 0.1757 0.8030
O3 0.0243 0.8053 0.5878
O4 0.0311 0.7843 0.3065
O5 0.1120 0.3645 0.1408
O6 0.1185 0.5149 0.6368
O7 0.1368 0.3665 0.4220
O8 0.1403 0.5033 0.9224
O9 0.1516 0.5406 0.5258
O10 0.1569 0.3089 0.0298
O11 0.1582 0.5242 0.2431
O12 0.1650 0.3042 0.7446
O13 0.1695 0.8072 0.0880
O14 0.1705 0.0230 0.5886
O15 0.1785 0.0326 0.3036
O16 0.1790 0.7996 0.8036
O17 0.1894 0.8246 0.4117
O18 0.1949 0.9770 0.9089
O19 0.2063 0.8261 0.6956
O20 0.2077 0.9662 0.1951
O21 0.3088 0.1567 0.5305
O22 0.3089 0.5341 0.0298
O23 0.3184 0.1578 0.2428
O24 0.3191 0.5235 0.7452
O25 0.3545 0.5022 0.4219
O26 0.3576 0.1394 0.9219
O27 0.3641 0.5239 0.1409
O28 0.3659 0.1122 0.6414
O29 0.4658 0.8431 0.9683
O30 0.4683 0.6864 0.4683
O31 0.4726 0.6947 0.7559
O32 0.4745 0.8325 0.2549
O33 0.4823 0.6401 0.3594
O34 0.4848 0.8745 0.8590
O35 0.4938 0.6475 0.0740
O36 0.4941 0.8588 0.5744
O37 0.5018 0.1395 0.4218
O38 0.5034 0.3571 0.9219
O39 0.5234 0.3632 0.6416
O40 0.5239 0.1116 0.1408
O41 0.5239 0.3179 0.2427
O42 0.5289 0.1604 0.7455
O43 0.5344 0.3086 0.5305
O44 0.5348 0.1566 0.0298
O45 0.6394 0.8763 0.3590
O46 0.6413 0.4839 0.8589
O47 0.6472 0.8586 0.0740
O48 0.6475 0.4936 0.5748
O49 0.6871 0.8371 0.7554
O50 0.6896 0.8415 0.4676
O51 0.6919 0.4652 0.9682
O52 0.6934 0.4738 0.2553
O53 0.7883 0.1769 0.3036
O54 0.8006 0.0233 0.8028
O55 0.8072 0.1699 0.5883
O56 0.8078 0.0225 0.0880
O57 0.8232 0.9720 0.6946
O58 0.8267 0.2074 0.1952
O59 0.8286 0.1944 0.9086
O60 0.8320 0.4689 0.7559
O61 0.8323 0.6921 0.2550
O62 0.8329 0.9700 0.4109
O63 0.8446 0.4694 0.4685
O64 0.8455 0.6919 0.9699
O65 0.8581 0.6482 0.5736
O66 0.8586 0.4937 0.0740
O67 0.8726 0.6402 0.8614
O68 0.8770 0.4870 0.3599
O69 0.9671 0.2052 0.6951
O70 0.9678 0.8278 0.1970
O71 0.9775 0.8282 0.9092
O72 0.9784 0.1930 0.4113


# 3
Below is crystalline DyFe4Si2 at its relaxed geometry, with properties calculated at the PBE-GGA level.

Summary:
Total magnetization = 3.815 μB per formula unit
Space-group type = P4_2/mnm, No. 136
E_tot = -105.05 eV/cell
E_form = -0.435 eV per atom
Calculated volume = 94.2 Å³/f.u.

Cell lengths 7.0955, 7.0955, 3.7435 Å; angles 90.00, 90.00, 90.00 degrees
Fractional positions:
Dy1 0.0000 0.0000 0.0000
Dy2 0.5000 0.5000 0.5000
Fe1 0.0851 0.3533 0.5000
Fe2 0.1467 0.5851 0.0000
Fe3 0.3533 0.0851 0.5000
Fe4 0.4149 0.8533 0.0000
Fe5 0.5851 0.1467 0.0000
Fe6 0.6467 0.9149 0.5000
Fe7 0.8533 0.4149 0.0000
Fe8 0.9149 0.6467 0.5000
Si1 0.2192 0.7808 0.5000
Si2 0.2808 0.2808 0.0000
Si3 0.7192 0.7192 0.0000
Si4 0.7808 0.2192 0.5000


# 4
Below is crystalline Ba2TbTaO6 at its relaxed geometry, with properties calculated at the PBE-GGA level.

Summary:
Total magnetization = 0.000 μB per formula unit
Space-group type = I4/m, No. 87
E_tot = -81.62 eV/cell
E_form = -3.573 eV per atom
Calculated volume = 155.8 Å³/f.u.

Cell lengths 6.0465, 6.0465, 6.0465 Å; angles 120.22, 120.22, 89.61 degrees
Fractional positions:
Ba1 0.2500 0.7500 0.5000
Ba2 0.7500 0.2500 0.5000
Tb1 0.0000 0.0000 0.0000
Ta1 0.5000 0.5000 0.0000
O1 0.2351 0.2957 0.5308
O2 0.2652 0.2652 0.0000
O3 0.2957 0.7649 0.0606
O4 0.7043 0.2351 0.9394
O5 0.7348 0.7348 0.0000
O6 0.7649 0.7043 0.4692


# 5
Below is crystalline Mg5Cd at its relaxed geometry, with properties calculated at the PBE-GGA level.

Summary:
Space-group type = R32, No. 155
E_tot = -9.10 eV/cell
E_form = -0.030 eV per atom
Calculated volume = 136.4 Å³/f.u.

Cell lengths 6.3217, 6.3217, 6.3217 Å; angles 50.00, 50.00, 50.00 degrees
Fractional positions:
Mg1 0.0000 0.6646 0.3354
Mg2 0.1673 0.1673 0.1673
Mg3 0.3354 0.0000 0.6646
Mg4 0.6646 0.3354 0.0000
Mg5 0.8327 0.8327 0.8327
Cd1 0.5000 0.5000 0.5000


# 6
Below is crystalline TbZr6P9O36 at its relaxed geometry, with properties calculated at the PBE-GGA level.

Summary:
Total magnetization = 0.025 μB per formula unit
Space-group type = P-3c1, No. 165
E_tot = -853.05 eV/cell
E_form = -3.240 eV per atom
Calculated volume = 795.4 Å³/f.u.

Cell lengths 8.9391, 8.9391, 22.9872 Å; angles 90.00, 90.00, 120.00 degrees
Fractional positions:
Tb1 0.0000 0.0000 0.0000
Tb2 0.0000 0.0000 0.5000
Zr1 0.0000 0.0000 0.1495
Zr2 0.0000 0.0000 0.3505
Zr3 0.0000 0.0000 0.6495
Zr4 0.0000 0.0000 0.8505
Zr5 0.3333 0.6667 0.0282
Zr6 0.3333 0.6667 0.3131
Zr7 0.3333 0.6667 0.5282
Zr8 0.3333 0.6667 0.8131
Zr9 0.6667 0.3333 0.1869
Zr10 0.6667 0.3333 0.4718
Zr11 0.6667 0.3333 0.6869
Zr12 0.6667 0.3333 0.9718
P1 0.0000 0.2920 0.2500
P2 0.0000 0.7080 0.7500
P3 0.0546 0.3733 0.9211
P4 0.0546 0.6813 0.4211
P5 0.2920 0.0000 0.2500
P6 0.2920 0.2920 0.7500
P7 0.3187 0.3733 0.4211
P8 0.3187 0.9454 0.9211
P9 0.3733 0.0546 0.5789
P10 0.3733 0.3187 0.0789
P11 0.6267 0.6813 0.9211
P12 0.6267 0.9454 0.4211
P13 0.6813 0.0546 0.0789
P14 0.6813 0.6267 0.5789
P15 0.7080 0.0000 0.7500
P16 0.7080 0.7080 0.2500
P17 0.9454 0.3187 0.5789
P18 0.9454 0.6267 0.0789
O1 0.0086 0.1767 0.9214
O2 0.0086 0.8319 0.4214
O3 0.0312 0.2050 0.1959
O4 0.0312 0.8261 0.6959
O5 0.1157 0.4914 0.5742
O6 0.1157 0.6243 0.0742
O7 0.1465 0.4603 0.8642
O8 0.1465 0.6862 0.3642
O9 0.1589 0.4680 0.2602
O10 0.1589 0.6909 0.7602
O11 0.1681 0.1767 0.4214
O12 0.1681 0.9914 0.9214
O13 0.1729 0.4554 0.9737
O14 0.1729 0.7174 0.4737
O15 0.1739 0.2050 0.6959
O16 0.1739 0.9688 0.1959
O17 0.1767 0.0086 0.5786
O18 0.1767 0.1681 0.0786
O19 0.2050 0.0312 0.3041
O20 0.2050 0.1739 0.8041
O21 0.2826 0.4554 0.4737
O22 0.2826 0.8271 0.9737
O23 0.3091 0.4680 0.7602
O24 0.3091 0.8411 0.2602
O25 0.3138 0.4603 0.3642
O26 0.3138 0.8535 0.8642
O27 0.3757 0.4914 0.0742
O28 0.3757 0.8843 0.5742
O29 0.4554 0.1729 0.5263
O30 0.4554 0.2826 0.0263
O31 0.4603 0.1465 0.6358
O32 0.4603 0.3138 0.1358
O33 0.4680 0.1589 0.2398
O34 0.4680 0.3091 0.7398
O35 0.4914 0.1157 0.9258
O36 0.4914 0.3757 0.4258
O37 0.5086 0.6243 0.5742
O38 0.5086 0.8843 0.0742
O39 0.5320 0.6909 0.2602
O40 0.5320 0.8411 0.7602
O41 0.5397 0.6862 0.8642
O42 0.5397 0.8535 0.3642
O43 0.5446 0.7174 0.9737
O44 0.5446 0.8271 0.4737
O45 0.6243 0.1157 0.4258
O46 0.6243 0.5086 0.9258
O47 0.6862 0.1465 0.1358
O48 0.6862 0.5397 0.6358
O49 0.6909 0.1589 0.7398
O50 0.6909 0.5320 0.2398
O51 0.7174 0.1729 0.0263
O52 0.7174 0.5446 0.5263
O53 0.7950 0.8261 0.1959
O54 0.7950 0.9688 0.6959
O55 0.8233 0.8319 0.9214
O56 0.8233 0.9914 0.4214
O57 0.8261 0.0312 0.8041
O58 0.8261 0.7950 0.3041
O59 0.8271 0.2826 0.5263
O60 0.8271 0.5446 0.0263
O61 0.8319 0.0086 0.0786
O62 0.8319 0.8233 0.5786
O63 0.8411 0.3091 0.2398
O64 0.8411 0.5320 0.7398
O65 0.8535 0.3138 0.6358
O66 0.8535 0.5397 0.1358
O67 0.8843 0.3757 0.9258
O68 0.8843 0.5086 0.4258
O69 0.9688 0.1739 0.3041
O70 0.9688 0.7950 0.8041
O71 0.9914 0.1681 0.5786
O72 0.9914 0.8233 0.0786